[1]
InNi3 | GGA-PBE | optimized geometry

abc: 2.816 2.816 8.168
angles: 90.00 80.07 120.00
Fractional positions:
Ni  0.512  0.756  0.732
Ni  0.000  0.500  0.500
Ni  0.488  0.244  0.268
In  0.000  0.000  0.000

Output
- Final energy: -4.728 eV per atom

=====

[2]
SrAg | GGA-PBE | optimized geometry

abc: 4.865 6.406 16.617
angles: 90.00 90.00 90.00
Fractional positions:
Ag  0.250  0.497  0.857
Ag  0.750  0.744  0.892
Ag  0.250  0.003  0.357
Ag  0.750  0.997  0.643
Ag  0.750  0.756  0.392
Ag  0.250  0.244  0.608
Ag  0.750  0.503  0.143
Ag  0.250  0.256  0.108
Sr  0.750  0.013  0.215
Sr  0.750  0.246  0.465
Sr  0.750  0.254  0.965
Sr  0.250  0.746  0.035
Sr  0.250  0.987  0.785
Sr  0.250  0.754  0.535
Sr  0.750  0.487  0.715
Sr  0.250  0.513  0.285

Output
- Final energy: -2.580 eV per atom

=====

[3]
Zr2InNi2 | GGA-PBE | optimized geometry

abc: 7.239 7.239 6.671
angles: 90.00 90.00 90.00
Fractional positions:
Ni  0.625  0.625  0.730
Ni  0.625  0.625  0.270
Ni  0.125  0.875  0.230
Ni  0.125  0.875  0.770
Ni  0.375  0.375  0.730
Ni  0.375  0.375  0.270
Ni  0.875  0.125  0.770
Ni  0.875  0.125  0.230
Zr  0.161  0.161  0.500
Zr  0.823  0.823  0.000
Zr  0.177  0.177  0.000
Zr  0.839  0.839  0.500
Zr  0.323  0.677  0.500
Zr  0.661  0.339  0.000
Zr  0.339  0.661  0.000
Zr  0.677  0.323  0.500
In  0.000  0.500  0.750
In  0.000  0.500  0.250
In  0.500  0.000  0.750
In  0.500  0.000  0.250

Output
- Final energy: -6.783 eV per atom